[1]
The following is a meta-GGA r2SCAN calculation of TbAu after structural relaxation, from Materials Project.

Cell and atoms, written as CIF:
```
data_TbAu
_symmetry_space_group_name_H-M 'P 1 21/m 1'
_symmetry_Int_Tables_number 11
_cell_length_a 3.7526
_cell_length_b 4.6321
_cell_length_c 5.7926
_cell_angle_alpha 90.00
_cell_angle_beta 108.83
_cell_angle_gamma 90.00
loop_
_symmetry_equiv_pos_as_xyz
'x,y,z'
'-x,-y,-z'
'-x,y+1/2,-z'
'x,-y+1/2,z'
loop_
_atom_site_label
_atom_site_type_symbol
_atom_site_fract_x
_atom_site_fract_y
_atom_site_fract_z
Tb1 Tb 0.1384 0.2500 0.2765
Au1 Au 0.4120 0.2500 0.8238
```

Properties
**E**: -167.58 eV per cell

---

[2]
The following is a meta-GGA r2SCAN calculation of TbAu after structural relaxation, from Materials Project.

Cell and atoms, written as CIF:
```
data_TbAu
_symmetry_space_group_name_H-M 'P m -3 m'
_symmetry_Int_Tables_number 221
_symmetry_space_group_name_Hall '-P 4 2 3'
_cell_length_a 3.5887
_cell_length_b 3.5887
_cell_length_c 3.5887
_cell_angle_alpha 90.00
_cell_angle_beta 90.00
_cell_angle_gamma 90.00
loop_
_atom_site_label
_atom_site_type_symbol
_atom_site_fract_x
_atom_site_fract_y
_atom_site_fract_z
Tb1 Tb 0.0000 0.0000 0.0000
Au1 Au 0.5000 0.5000 0.5000
```

Properties
**E**: -83.71 eV per cell

---

[3]
The following is a meta-GGA r2SCAN calculation of Te3Au after structural relaxation, from Materials Project.

Cell and atoms, written as CIF:
```
data_Te3Au
_symmetry_space_group_name_H-M 'P 4/m m m'
_symmetry_Int_Tables_number 123
_symmetry_space_group_name_Hall '-P 4 2'
_cell_length_a 3.1026
_cell_length_b 3.1026
_cell_length_c 12.9395
_cell_angle_alpha 90.00
_cell_angle_beta 90.00
_cell_angle_gamma 90.00
loop_
_atom_site_label
_atom_site_type_symbol
_atom_site_fract_x
_atom_site_fract_y
_atom_site_fract_z
Te1 Te 0.0000 0.0000 0.0000
Te2 Te 0.0000 0.0000 0.2975
Au1 Au 0.0000 0.0000 0.5000
```

Properties
**E**: -126.78 eV per cell

---

[4]
The following is a meta-GGA r2SCAN calculation of ThAu after structural relaxation, from Materials Project.

Cell and atoms, written as CIF:
```
data_ThAu
_symmetry_space_group_name_H-M 'C m c m'
_symmetry_Int_Tables_number 63
_symmetry_space_group_name_Hall '-C 2c 2'
_cell_length_a 3.8797
_cell_length_b 11.6871
_cell_length_c 4.6052
_cell_angle_alpha 90.00
_cell_angle_beta 90.00
_cell_angle_gamma 90.00
loop_
_atom_site_label
_atom_site_type_symbol
_atom_site_fract_x
_atom_site_fract_y
_atom_site_fract_z
Th1 Th 0.0000 0.1480 0.2500
Au1 Au 0.0000 0.4222 0.2500
```

Properties
**E**: -501.72 eV per cell

---

[5]
The following is a meta-GGA r2SCAN calculation of ThAu3 after structural relaxation, from Materials Project.

Cell and atoms, written as CIF:
```
data_ThAu3
_symmetry_space_group_name_H-M 'P 63/m m c'
_symmetry_Int_Tables_number 194
_symmetry_space_group_name_Hall '-P 6c 2c'
_cell_length_a 6.5609
_cell_length_b 6.5609
_cell_length_c 4.6981
_cell_angle_alpha 90.00
_cell_angle_beta 90.00
_cell_angle_gamma 120.00
loop_
_atom_site_label
_atom_site_type_symbol
_atom_site_fract_x
_atom_site_fract_y
_atom_site_fract_z
Th1 Th 0.3333 0.6667 0.2500
Au1 Au 0.1539 0.3077 0.7500
```

Properties
**E**: -456.03 eV per cell

---

[6]
The following is a meta-GGA r2SCAN calculation of Th2Au after structural relaxation, from Materials Project.

Cell and atoms, written as CIF:
```
data_Th2Au
_symmetry_space_group_name_H-M 'I 4/m c m'
_symmetry_Int_Tables_number 140
_symmetry_space_group_name_Hall '-I 4 2c'
_cell_length_a 7.4831
_cell_length_b 7.4831
_cell_length_c 5.9949
_cell_angle_alpha 90.00
_cell_angle_beta 90.00
_cell_angle_gamma 90.00
loop_
_atom_site_label
_atom_site_type_symbol
_atom_site_fract_x
_atom_site_fract_y
_atom_site_fract_z
Th1 Th 0.1576 0.3424 0.0000
Au1 Au 0.0000 0.0000 0.2500
```

Properties
**E**: -795.80 eV per cell

---

Q: Which formula does entry 5 have?
A: ThAu3

---

Q: The lowest E belongs to which entry?
A: Th2Au

---

Repeat the first record exactly.
The following is a meta-GGA r2SCAN calculation of TbAu after structural relaxation, from Materials Project.

Cell and atoms, written as CIF:
```
data_TbAu
_symmetry_space_group_name_H-M 'P 1 21/m 1'
_symmetry_Int_Tables_number 11
_cell_length_a 3.7526
_cell_length_b 4.6321
_cell_length_c 5.7926
_cell_angle_alpha 90.00
_cell_angle_beta 108.83
_cell_angle_gamma 90.00
loop_
_symmetry_equiv_pos_as_xyz
'x,y,z'
'-x,-y,-z'
'-x,y+1/2,-z'
'x,-y+1/2,z'
loop_
_atom_site_label
_atom_site_type_symbol
_atom_site_fract_x
_atom_site_fract_y
_atom_site_fract_z
Tb1 Tb 0.1384 0.2500 0.2765
Au1 Au 0.4120 0.2500 0.8238
```

Properties
**E**: -167.58 eV per cell